Version i
Here is crystalline Co at its relaxed geometry from the Materials Project database. Energies are from PBE-GGA.

Properties
ρ ... 8.69 g/cm³
Space group ... P6_3mc, No. 186
Size of the total moment ... 76.7 μB per cell

Unit cell a=7.8600 b=7.8600 c=9.6864 alpha=90.00 beta=90.00 gamma=120.00
Fractional coordinates of all 46 atoms:
Co 0.0000 0.0000 0.3518
Co 0.3265 0.1632 0.4779
Co 0.1886 0.3772 0.2277
Co 0.0018 0.5009 0.0966
Co 0.8114 0.1886 0.7277
Co 0.4991 0.5009 0.0966
Co 0.6752 0.8376 0.7262
Co 0.0000 0.0000 0.8518
Co 0.4991 0.9982 0.0966
Co 0.4854 0.5146 0.8468
Co 0.8368 0.6735 0.4779
Co 0.0000 0.0000 0.1043
Co 0.1755 0.3510 0.4782
Co 0.8368 0.1632 0.4779
Co 0.3510 0.1755 0.9782
Co 0.8245 0.6490 0.9782
Co 0.3333 0.6667 0.3841
Co 0.8245 0.1755 0.9782
Co 0.6735 0.8368 0.9779
Co 0.0292 0.5146 0.8468
Co 0.5146 0.0292 0.3468
Co 0.5009 0.4991 0.5966
Co 0.6490 0.8245 0.4782
Co 0.6228 0.8114 0.2277
Co 0.5146 0.4854 0.3468
Co 0.1632 0.8368 0.9779
Co 0.5009 0.0018 0.5966
Co 0.8376 0.6752 0.2262
Co 0.3333 0.6667 0.6788
Co 0.1624 0.3248 0.7262
Co 0.9708 0.4854 0.3468
Co 0.6667 0.3333 0.1788
Co 0.4854 0.9708 0.8468
Co 0.1755 0.8245 0.4782
Co 0.8376 0.1624 0.2262
Co 0.1632 0.3265 0.9779
Co 0.6667 0.3333 0.8841
Co 0.6667 0.3333 0.4897
Co 0.8114 0.6228 0.7277
Co 0.1624 0.8376 0.7262
Co 0.3772 0.1886 0.7277
Co 0.0000 0.0000 0.6043
Co 0.3248 0.1624 0.2262
Co 0.3333 0.6667 0.9897
Co 0.1886 0.8114 0.2277
Co 0.9982 0.4991 0.5966

***

Version ii
Here is crystalline Co at its relaxed geometry from the Materials Project database. Energies are from PBE-GGA.

Properties
ρ ... 8.99 g/cm³
Space group ... P6_3/mmc, No. 194

Unit cell a=2.4942 b=2.4942 c=8.0859 alpha=90.00 beta=90.00 gamma=120.00
Fractional coordinates of all 4 atoms:
Co 0.0000 0.0000 0.0000
Co 0.3333 0.6667 0.2500
Co 0.0000 0.0000 0.5000
Co 0.6667 0.3333 0.7500

***

Version iii
Here is crystalline Co at its relaxed geometry from the Materials Project database. Energies are from PBE-GGA.

Properties
ρ ... 8.44 g/cm³
Space group ... Fd-3m, No. 227
Size of the total moment ... 11.2 μB per cell

Unit cell a=4.6160 b=4.6160 c=4.6160 alpha=60.00 beta=60.00 gamma=60.00
Fractional coordinates of all 6 atoms:
Co 0.2500 0.2500 0.2500
Co 0.0000 0.0000 0.0000
Co 0.6250 0.6250 0.1250
Co 0.6250 0.1250 0.6250
Co 0.1250 0.6250 0.6250
Co 0.6250 0.6250 0.6250

***

It is version iii that is the least stable of them.

***

Version i
Here is crystalline Co at its relaxed geometry from the Materials Project database. Energies are from PBE-GGA.

Properties
ρ ... 8.99 g/cm³
Size of the total moment ... 6.4 μB per cell

Unit cell a=2.4870 b=8.1266 c=2.4870 alpha=90.00 beta=119.98 gamma=90.00
Fractional coordinates of all 4 atoms:
Co 0.6667 0.6300 0.3333
Co 0.3333 0.8702 0.6667
Co 0.6667 0.1298 0.3333
Co 0.3333 0.3700 0.6667

***

Version ii
Here is crystalline Co at its relaxed geometry from the Materials Project database. Energies are from PBE-GGA.

Properties
ρ ... 8.96 g/cm³
Space group ... P6_3/mmc, No. 194

Unit cell a=2.5008 b=2.5008 c=4.0333 alpha=90.00 beta=90.00 gamma=120.00
Fractional coordinates of all 2 atoms:
Co 0.3333 0.6667 0.2500
Co 0.6667 0.3333 0.7500

***

Version iii
Here is crystalline Co at its relaxed geometry from the Materials Project database. Energies are from PBE-GGA.

Properties
ρ ... 8.59 g/cm³
Space group ... P4_2/mnm, No. 136

Unit cell a=8.3670 b=8.3670 c=4.5555 alpha=90.00 beta=90.00 gamma=90.00
Fractional coordinates of all 28 atoms:
Co 0.9060 0.0940 0.5000
Co 0.0940 0.9060 0.5000
Co 0.4060 0.4060 0.0000
Co 0.5940 0.5940 0.0000
Co 0.9733 0.3620 0.5000
Co 0.0267 0.6380 0.5000
Co 0.4733 0.1380 0.0000
Co 0.5267 0.8620 0.0000
Co 0.3620 0.9733 0.5000
Co 0.6380 0.0267 0.5000
Co 0.1380 0.4733 0.0000
Co 0.8620 0.5267 0.0000
Co 0.2517 0.4444 0.5000
Co 0.7483 0.5556 0.5000
Co 0.7517 0.0556 0.0000
Co 0.2483 0.9444 0.0000
Co 0.4444 0.2517 0.5000
Co 0.5556 0.7483 0.5000
Co 0.0556 0.7517 0.0000
Co 0.9444 0.2483 0.0000
Co 0.6863 0.3137 0.2496
Co 0.3137 0.6863 0.2496
Co 0.1863 0.1863 0.7496
Co 0.8137 0.8137 0.7496
Co 0.3137 0.6863 0.7504
Co 0.6863 0.3137 0.7504
Co 0.8137 0.8137 0.2504
Co 0.1863 0.1863 0.2504

***

It is version iii that is the least stable of them.

***

Version i
Here is crystalline Co at its relaxed geometry from the Materials Project database. Energies are from PBE-GGA.

Properties
ρ ... 8.87 g/cm³
Space group ... Im-3m, No. 229
Size of the total moment ... 1.7 μB per cell

Unit cell a=2.4289 b=2.4289 c=2.4289 alpha=109.47 beta=109.47 gamma=109.47
Fractional coordinates of all 1 atoms:
Co 0.0000 0.0000 0.0000

***

Version ii
Here is crystalline Co at its relaxed geometry from the Materials Project database. Energies are from PBE-GGA.

Properties
ρ ... 8.97 g/cm³
Space group ... Fm-3m, No. 225

Unit cell a=2.4898 b=2.4898 c=2.4898 alpha=60.00 beta=60.00 gamma=60.00
Fractional coordinates of all 1 atoms:
Co 0.0000 0.0000 0.0000

***

It is version i that is the least stable of them.

***

Version i
Here is crystalline CrCo3 at its relaxed geometry from the Materials Project database. Energies are from PBE-GGA.

Properties
ρ ... 8.84 g/cm³
Space group ... P6_3/mmc, No. 194

Unit cell a=3.9801 b=4.9947 c=4.9947 alpha=120.00 beta=90.00 gamma=90.00
Fractional coordinates of all 8 atoms:
Cr 0.7500 0.6667 0.3333
Cr 0.2500 0.3333 0.6667
Co 0.7500 0.1657 0.3314
Co 0.7500 0.1657 0.8343
Co 0.7500 0.6686 0.8343
Co 0.2500 0.8343 0.6686
Co 0.2500 0.8343 0.1657
Co 0.2500 0.3314 0.1657

***

Version ii
Here is crystalline CrCo3 at its relaxed geometry from the Materials Project database. Energies are from PBE-GGA.

Properties
ρ ... 8.74 g/cm³
Space group ... P-6m2, No. 187
Size of the total moment ... 2.7 μB per cell

Unit cell a=2.5043 b=2.5043 c=8.0001 alpha=90.00 beta=90.00 gamma=120.00
Fractional coordinates of all 4 atoms:
Cr 0.6667 0.3333 0.3750
Co 0.6667 0.3333 0.8750
Co 0.3333 0.6667 0.1257
Co 0.3333 0.6667 0.6243

***

Version iii
Here is crystalline CrCo3 at its relaxed geometry from the Materials Project database. Energies are from PBE-GGA.

Properties
ρ ... 9.00 g/cm³
Space group ... Pm-3m, No. 221

Unit cell a=3.4815 b=3.4815 c=3.4815 alpha=90.00 beta=90.00 gamma=90.00
Fractional coordinates of all 4 atoms:
Cr 0.0000 0.0000 0.0000
Co 0.5000 0.5000 0.0000
Co 0.5000 0.0000 0.5000
Co 0.0000 0.5000 0.5000

***

It is version ii that is the least stable of them.